No. 1
Entry from the Materials Project: a geometry-optimized Ba2NF structure (PBE-GGA).

Relative energy among the computed polymorphs = 0.301 eV/atom
Space group = Fm-3m
Energy with MP2020 corrections = -0.185 Ha/atom
Total magnetic moment = 0.0 Bohr magnetons per cell

Cell: 4.887 4.887 4.887 Å, 60.00 60.00 60.00°
Element x y z (fractional)
Ba1 0.750 0.750 0.750
Ba2 0.250 0.250 0.250
N1 0.500 0.500 0.500
F1 0.000 0.000 0.000

No. 2
Entry from the Materials Project: a geometry-optimized LiBH4 structure (PBE-GGA).

Relative energy among the computed polymorphs = 0.067 eV/atom
Space group = F-43m
Energy with MP2020 corrections = -0.150 Ha/atom
Total magnetic moment = 0.0 Bohr magnetons per cell

Cell: 4.038 4.038 4.038 Å, 60.00 60.00 60.00°
Element x y z (fractional)
B1 0.500 0.500 0.500
H1 0.130 0.623 0.623
H2 0.623 0.623 0.130
H3 0.623 0.130 0.623
H4 0.623 0.623 0.623
Li1 0.000 0.000 0.000

No. 3
Entry from the Materials Project: a geometry-optimized Na2MgSi2Sn3S4O24 structure (PBE-GGA).

Space group = P1
Energy with MP2020 corrections = -0.247 Ha/atom
Total magnetic moment = 0.0 Bohr magnetons per cell

Cell: 8.776 8.761 23.077 Å, 89.39 90.12 119.65°
Element x y z (fractional)
O1 0.703 0.151 0.033
O2 0.835 0.312 0.243
O3 0.851 0.368 0.924
O4 0.493 0.379 0.142
O5 0.023 0.209 0.198
O6 0.355 0.481 0.363
O7 0.448 0.143 0.530
O8 0.156 0.686 0.753
O9 0.968 0.797 0.092
O10 0.801 0.824 0.911
O11 0.840 0.533 0.745
O12 0.885 0.513 0.138
O13 0.851 0.545 0.032
O14 0.301 0.843 0.978
O15 0.795 0.818 0.198
O16 0.363 0.520 0.079
O17 0.518 0.634 0.864
O18 0.176 0.193 0.409
O19 0.295 0.444 0.469
O20 0.029 0.819 0.697
O21 0.990 0.184 0.589
O22 0.157 0.448 0.975
O23 0.698 0.536 0.524
O24 0.136 0.502 0.574
O25 0.147 0.692 0.470
O26 0.965 0.187 0.303
O27 0.349 0.860 0.577
O28 0.030 0.829 0.410
O29 0.485 0.113 0.635
O30 0.552 0.700 0.970
O31 0.155 0.469 0.257
O32 0.973 0.786 0.803
O33 0.374 0.882 0.860
O34 0.486 0.631 0.580
O35 0.506 0.867 0.079
O36 0.822 0.032 0.808
O37 0.135 0.645 0.080
O38 0.696 0.528 0.245
O39 0.470 0.312 0.745
O40 0.635 0.116 0.138
O41 0.886 0.369 0.634
O42 0.184 0.163 0.089
O43 0.471 0.307 0.027
O44 0.305 0.840 0.257
O45 0.683 0.175 0.744
O46 0.187 0.210 0.696
O47 0.124 0.639 0.364
O48 0.307 0.468 0.755
O49 0.510 0.880 0.358
O50 0.817 0.781 0.303
O51 0.867 0.510 0.421
O52 0.181 0.978 0.199
O53 0.492 0.359 0.421
O54 0.470 0.158 0.246
O55 0.792 0.970 0.692
O56 0.149 0.966 0.909
O57 0.855 0.301 0.529
O58 0.628 0.495 0.640
O59 0.649 0.162 0.424
O60 0.017 0.181 0.913
O61 0.199 0.028 0.591
O62 0.645 0.510 0.923
O63 0.844 0.815 0.586
O64 0.501 0.150 0.920
O65 0.549 0.848 0.474
O66 0.126 0.492 0.857
O67 0.220 0.186 0.802
O68 0.825 0.984 0.411
O69 0.213 0.033 0.304
O70 0.533 0.686 0.256
O71 0.510 0.819 0.755
O72 0.822 0.018 0.093
S1 0.627 0.668 0.916
S2 0.708 0.708 0.248
S3 0.046 0.666 0.415
S4 0.289 0.291 0.748
S5 0.957 0.627 0.084
S6 0.964 0.334 0.583
S7 0.368 0.039 0.584
S8 0.001 0.296 0.248
S9 0.668 0.038 0.084
S10 0.332 0.375 0.414
S11 0.288 0.997 0.250
S12 0.000 0.712 0.749
Sn1 0.333 0.678 0.816
Sn2 0.660 0.335 0.181
Sn3 0.002 0.014 0.853
Sn4 0.990 0.998 0.351
Sn5 0.656 0.320 0.977
Sn6 0.323 0.655 0.016
Sn7 0.667 0.331 0.483
Sn8 0.353 0.673 0.520
Sn9 0.666 0.333 0.688
Na1 0.350 0.673 0.669
Na2 0.020 0.017 0.000
Na3 0.668 0.319 0.835
Na4 0.982 0.987 0.506
Na5 0.664 0.323 0.335
Na6 0.335 0.660 0.165
Si1 0.623 0.962 0.414
Si2 0.674 0.627 0.584
Si3 0.708 0.995 0.748
Si4 0.041 0.377 0.916
Si5 0.371 0.334 0.082
Si6 0.328 0.955 0.917
Mg1 0.010 0.008 0.144
Mg2 0.343 0.680 0.316
Mg3 0.978 0.983 0.648

No. 4
Entry from the Materials Project: a geometry-optimized MoSCl structure (PBE-GGA).

Space group = F-43m
Energy with MP2020 corrections = -0.252 Ha/atom
Total magnetic moment = 0.0 Bohr magnetons per cell

Cell: 6.933 6.933 6.933 Å, 60.00 60.00 60.00°
Element x y z (fractional)
S1 0.652 0.116 0.116
S2 0.116 0.116 0.116
S3 0.116 0.652 0.116
S4 0.116 0.116 0.652
Mo1 0.947 0.351 0.351
Mo2 0.351 0.351 0.947
Mo3 0.351 0.351 0.351
Mo4 0.351 0.947 0.351
Cl1 0.618 0.618 0.146
Cl2 0.146 0.618 0.618
Cl3 0.618 0.618 0.618
Cl4 0.618 0.146 0.618

No. 5
Entry from the Materials Project: a geometry-optimized DyErAg2 structure (PBE-GGA).

Space group = Fm-3m

Cell: 5.128 5.128 5.128 Å, 60.00 60.00 60.00°
Element x y z (fractional)
Ag1 0.750 0.750 0.750
Ag2 0.250 0.250 0.250
Dy1 0.500 0.500 0.500
Er1 0.000 0.000 0.000

No. 6
Entry from the Materials Project: a geometry-optimized CeSe2 structure (PBE-GGA).

Space group = C2/c
Energy with MP2020 corrections = -0.210 Ha/atom
Total magnetic moment = 0.0 Bohr magnetons per cell

Cell: 12.304 12.304 14.766 Å, 53.98 53.98 39.09°
Element x y z (fractional)
Ce1 0.914 0.421 0.843
Ce2 0.086 0.579 0.157
Ce3 0.421 0.914 0.343
Ce4 0.012 0.988 0.250
Ce5 0.579 0.086 0.657
Ce6 0.988 0.012 0.750
Se1 0.781 0.648 0.316
Se2 0.720 0.071 0.434
Se3 0.713 0.139 0.708
Se4 0.219 0.352 0.684
Se5 0.280 0.929 0.566
Se6 0.139 0.713 0.208
Se7 0.929 0.280 0.066
Se8 0.287 0.861 0.292
Se9 0.071 0.720 0.934
Se10 0.861 0.287 0.792
Se11 0.352 0.219 0.184
Se12 0.648 0.781 0.816

No. 7
Entry from the Materials Project: a geometry-optimized SiPb3 structure (PBE-GGA).

Relative energy among the computed polymorphs = 0.010 eV/atom
Space group = P6_3/mmc
Total magnetic moment = 0.0 Bohr magnetons per cell

Cell: 6.883 6.883 5.493 Å, 90.00 90.00 120.00°
Element x y z (fractional)
Pb1 0.827 0.173 0.750
Pb2 0.654 0.827 0.250
Pb3 0.346 0.173 0.750
Pb4 0.827 0.654 0.750
Pb5 0.173 0.827 0.250
Pb6 0.173 0.346 0.250
Si1 0.333 0.667 0.750
Si2 0.667 0.333 0.250

No. 8
Entry from the Materials Project: a geometry-optimized MnRh2Pb structure (PBE-GGA).

Space group = Fm-3m
Total magnetic moment = 4.8 Bohr magnetons per cell

Cell: 4.536 4.536 4.536 Å, 60.00 60.00 60.00°
Element x y z (fractional)
Rh1 0.750 0.750 0.750
Rh2 0.250 0.250 0.250
Pb1 0.500 0.500 0.500
Mn1 0.000 0.000 0.000

no.,electronic total energy (eV/atom),E_form (meV/atom)
1,-4.92,-1516
2,-3.96,-383
3,-6.27,-2213
4,-6.49,-1251
5,-4.04,-334
6,-5.40,-1402
7,-3.80,346
8,-7.01,-105